First-principles (GGA+U) data for crystalline LiMnBO3 at its relaxed geometry, as listed in Materials Project.

- Total magnetization: 0.00 μB per formula unit
- Final energy: -7.319 eV/atom
- ρ: 3.13 g/cm3
- Energy relative to the elements: -2.51 eV per atom

Lattice parameters (Å, degrees): 5.2924 6.0506 8.9983 102.73 90.57 113.45
With the nearest neighbours (Å) after each atom.
Positions (direct):
Li1 0.9030 0.6720 0.5338  4 O 1.94-2.04
Li2 0.4031 0.6720 0.0338  4 O 1.94-2.04
Li3 0.0969 0.3280 0.4662  4 O 1.94-2.04
Li4 0.5969 0.3280 0.9661  4 O 1.94-2.04
Mn1 0.4547 0.7653 0.7064  4 O 2.09-2.21
Mn2 0.5453 0.2347 0.2936  4 O 2.09-2.21
Mn3 0.9547 0.7652 0.2064  4 O 2.09-2.21
Mn4 0.0454 0.2348 0.7936  4 O 2.09-2.21
B1 0.9406 0.7370 0.8673  3 O 1.38-1.40
B2 0.4406 0.7370 0.3673  3 O 1.38-1.40
B3 0.0594 0.2630 0.1327  3 O 1.38-1.40
B4 0.5594 0.2630 0.6327  3 O 1.38-1.40
O1 0.6681 0.6757 0.3657  1 B 1.39
O2 0.1681 0.6757 0.8657  1 B 1.39
O3 0.3319 0.3243 0.6343  1 B 1.39
O4 0.8319 0.3243 0.1343  1 B 1.39
O5 0.8783 0.8258 0.7464  1 B 1.40
O6 0.3783 0.8258 0.2464  1 B 1.40
O7 0.1217 0.1742 0.2536  1 B 1.40
O8 0.6217 0.1742 0.7536  1 B 1.40
O9 0.2697 0.7019 0.4832  1 B 1.38
O10 0.7697 0.7019 0.9832  1 B 1.38
O11 0.7303 0.2981 0.5168  1 B 1.38
O12 0.2303 0.2981 0.0168  1 B 1.38